# LiFe4P3O12

LiFe4P3O12 after structural relaxation (PBE+U, the Materials Project).

```
data_LiFe4P3O12
_cell_length_a 6.3875
_cell_length_b 14.3678
_cell_length_c 9.9994
_cell_angle_alpha 90.00
_cell_angle_beta 90.00
_cell_angle_gamma 90.00
_symmetry_space_group_name_H-M 'P n m a'
_symmetry_Int_Tables_number 62
loop_
_symmetry_equiv_pos_as_xyz
'x,y,z'
'-x,-y,-z'
'-x+1/2,-y,z+1/2'
'x+1/2,y,-z+1/2'
'x+1/2,-y+1/2,-z+1/2'
'-x+1/2,y+1/2,z+1/2'
'-x,y+1/2,-z'
'x,-y+1/2,z'
loop_
_atom_site_label
_atom_site_fract_x
_atom_site_fract_y
_atom_site_fract_z
_atom_site_occupancy
Li1 0.0548 0.2500 0.2410 1
Fe1 0.1419 0.6124 0.3433 1
Fe2 0.1462 0.5946 0.9422 1
P1 0.0039 0.7500 0.0929 1
P2 0.1453 0.5731 0.6317 1
O1 0.0299 0.1089 0.4641 1
O2 0.0548 0.7500 0.9414 1
O3 0.0797 0.0149 0.7119 1
O4 0.1002 0.6590 0.1486 1
O5 0.1715 0.0503 0.0297 1
O6 0.2106 0.6471 0.7349 1
O7 0.2368 0.2500 0.8817 1
```

Values from the calculation:
Total magnetic moment ... 0.00 μB/cell
ΔE_f ... -1.818 eV/atom